Below is a relaxed structure of GdCuAs2, with properties calculated at the GGA-PBE level.

Cell lengths 3.9275, 3.9275, 9.9238 Å; angles 90.00, 90.00, 90.00 degrees
With the nearest neighbours (Å) after each atom.
Fractional positions:
Gd  0.2500  0.2500  0.2376  8 As 2.97-3.07, 4 Cu 3.26
Gd  0.7500  0.7500  0.7624  8 As 2.97-3.07, 4 Cu 3.26
Cu  0.2500  0.7500  0.5000  4 As 2.51, 4 Cu 2.78
Cu  0.7500  0.2500  0.5000  4 As 2.51, 4 Cu 2.78
As  0.2500  0.2500  0.6575  4 Cu 2.51
As  0.2500  0.7500  0.0000  4 As 2.78, 4 Gd 3.07
As  0.7500  0.2500  0.0000  4 As 2.78, 4 Gd 3.07
As  0.7500  0.7500  0.3425  4 Cu 2.51

## Properties
Energy relative to the elements: -0.834 eV per atom
Total energy: -0.56645 Ry per atom
Density: 8.04 g/cm³

Below is a relaxed structure of CaP2H8C2O6, with properties calculated at the GGA-PBE level.

Cell lengths 10.7058, 10.7058, 7.3433 Å; angles 107.74, 107.74, 30.75 degrees
With the nearest neighbours (Å) after each atom.
Fractional positions:
Ca  0.1319  0.8681  0.7500  6 O 2.41-2.44
Ca  0.8681  0.1319  0.2500  6 O 2.41-2.44
P  0.2231  0.5743  0.0528  3 O 1.53-1.59
P  0.4257  0.7769  0.4472  3 O 1.53-1.59
P  0.5743  0.2231  0.5528  3 O 1.53-1.59
P  0.7769  0.4257  0.9472  3 O 1.53-1.59
H  0.1018  0.2923  0.1310  1 C 1.10
H  0.1444  0.5025  0.7280  1 C 1.10
H  0.1709  0.3863  0.8938  1 C 1.10
H  0.1955  0.6059  0.3649  1 O 1.01
H  0.2923  0.1018  0.6310  1 C 1.10
H  0.3863  0.1709  0.3938  1 C 1.10
H  0.3941  0.8045  0.1351  1 O 1.01
H  0.4975  0.8556  0.7720  1 C 1.10
H  0.5025  0.1444  0.2280  1 C 1.10
H  0.6059  0.1955  0.8649  1 O 1.01
H  0.6137  0.8291  0.6062  1 C 1.10
H  0.7077  0.8982  0.3690  1 C 1.10
H  0.8045  0.3941  0.6351  1 O 1.01
H  0.8291  0.6137  0.1062  1 C 1.10
H  0.8556  0.4975  0.2720  1 C 1.10
H  0.8982  0.7077  0.8690  1 C 1.10
C  0.0982  0.5379  0.8684  3 H 1.10
C  0.4621  0.9018  0.6316  3 H 1.10
C  0.5379  0.0982  0.3684  3 H 1.10
C  0.9018  0.4621  0.1316  3 H 1.10
O  0.0971  0.6726  0.2361  1 H 1.01
O  0.1287  0.7796  0.0120  1 P 1.53
O  0.2204  0.8713  0.4880  1 P 1.53
O  0.3268  0.5036  0.5774  1 P 1.53, 1 H 1.63
O  0.3274  0.9029  0.2639  1 H 1.01
O  0.4964  0.6732  0.9226  1 P 1.53, 1 H 1.63
O  0.5036  0.3268  0.0774  1 P 1.53, 1 H 1.63
O  0.6726  0.0971  0.7361  1 H 1.01
O  0.6732  0.4964  0.4226  1 P 1.53, 1 H 1.63
O  0.7796  0.1287  0.5120  1 P 1.53
O  0.8713  0.2204  0.9880  1 P 1.53
O  0.9029  0.3274  0.7639  1 H 1.01

## Properties
Energy relative to the elements: -1.529 eV per atom
Total energy: -0.43727 Ry per atom
Density: 1.87 g/cm³

Below is a relaxed structure of Zr2N2O, with properties calculated at the GGA-PBE level.

Cell lengths 8.8566, 8.8785, 8.8802 Å; angles 109.48, 109.46, 109.33 degrees
With the nearest neighbours (Å) after each atom.
Fractional positions:
Zr  0.0000  0.0000  0.0000  5 N 2.14-2.27, 1 O 2.31
Zr  0.0100  0.5112  0.5266  4 N 2.12-2.22, 2 O 2.29-2.30
Zr  0.0363  0.7892  0.2608  4 N 2.18-2.24, 2 O 2.19-2.25
Zr  0.2114  0.7547  0.9792  6 N 2.18-2.31
Zr  0.2405  0.5302  0.2912  3 N 2.11-2.18, 3 O 2.19-2.33
Zr  0.2547  0.0374  0.8003  5 N 2.14-2.26, 1 O 2.31
Zr  0.2883  0.2503  0.5417  3 N 2.12-2.21, 3 O 2.17-2.26
Zr  0.4602  0.7203  0.7663  4 N 2.13-2.29, 2 O 2.24-2.27
Zr  0.4879  0.9995  0.4971  4 N 2.13-2.23, 2 O 2.29-2.30
Zr  0.5094  0.5085  0.0182  3 N 2.13-2.18, 3 O 2.17-2.26
Zr  0.5370  0.2888  0.2594  4 N 2.17-2.24, 2 O 2.18-2.22
Zr  0.7265  0.7642  0.4817  4 N 2.11-2.24, 2 O 2.20-2.35
Zr  0.7392  0.9556  0.2208  4 N 2.13-2.29, 2 O 2.25
Zr  0.7585  0.4737  0.7205  4 N 2.12-2.28, 2 O 2.27-2.30
Zr  0.7812  0.2420  0.0404  3 N 2.10-2.24, 3 O 2.15-2.27
Zr  0.9624  0.2166  0.7588  4 N 2.16-2.24, 2 O 2.18-2.24
N  0.0076  0.4654  0.7456  4 Zr 2.12-2.25
N  0.0451  0.2789  0.0445  4 Zr 2.11-2.24
N  0.2274  0.4561  0.4974  4 Zr 2.17-2.29
N  0.2390  0.7757  0.7367  4 Zr 2.12-2.31
N  0.2589  0.9936  0.5428  4 Zr 2.18-2.21
N  0.2713  0.7599  0.2404  4 Zr 2.13-2.24
N  0.2734  0.0393  0.0610  4 Zr 2.17-2.26
N  0.4651  0.7361  0.0202  4 Zr 2.13-2.22
N  0.4886  0.2316  0.4679  4 Zr 2.12-2.28
N  0.5373  0.2691  0.0021  4 Zr 2.18-2.23
N  0.7234  0.9702  0.9638  4 Zr 2.10-2.29
N  0.7368  0.0178  0.4751  4 Zr 2.15-2.24
N  0.7715  0.5470  0.5188  4 Zr 2.12-2.24
N  0.7716  0.7276  0.2479  4 Zr 2.13-2.21
N  0.9466  0.7292  0.9751  4 Zr 2.15-2.27
N  0.9687  0.9602  0.7380  4 Zr 2.11-2.24
O  0.0335  0.0479  0.2839  4 Zr 2.17-2.31
O  0.2291  0.2797  0.7750  4 Zr 2.18-2.31
O  0.4532  0.4932  0.2374  4 Zr 2.19-2.35
O  0.5148  0.7734  0.5551  4 Zr 2.20-2.33
O  0.5398  0.5064  0.7847  4 Zr 2.17-2.27
O  0.7253  0.2366  0.7827  4 Zr 2.15-2.30
O  0.7632  0.2322  0.2816  4 Zr 2.18-2.30
O  0.9862  0.5359  0.2727  4 Zr 2.19-2.29

## Properties
Energy relative to the elements: -2.188 eV per atom
Total energy: -0.71984 Ry per atom
Density: 5.59 g/cm³

Below is a relaxed structure of K2CuPCO7, with properties calculated at the GGA-PBE level.

Cell lengths 5.2406, 7.8434, 9.2444 Å; angles 90.00, 90.01, 90.00 degrees
With the nearest neighbours (Å) after each atom.
Fractional positions:
K  0.2425  0.0222  0.2536  7 O 2.69-2.90
K  0.2425  0.4778  0.2536  7 O 2.69-2.90
K  0.7575  0.5222  0.7464  7 O 2.69-2.90
K  0.7575  0.9778  0.7464  7 O 2.69-2.90
Cu  0.2269  0.2500  0.6452  4 O 1.86-1.99
Cu  0.7731  0.7500  0.3548  4 O 1.86-1.99
P  0.2840  0.7500  0.5746  4 O 1.53-1.61
P  0.7160  0.2500  0.4254  4 O 1.53-1.61
C  0.2715  0.2500  0.9024  3 O 1.24-1.31
C  0.7285  0.7500  0.0976  3 O 1.24-1.31
O  0.0577  0.2500  0.8287  1 C 1.31
O  0.1186  0.7500  0.4323  1 P 1.58
O  0.2454  0.5871  0.6629  1 P 1.53
O  0.2454  0.9129  0.6629  1 P 1.53
O  0.2840  0.2500  0.0367  1 C 1.24
O  0.4239  0.2500  0.4779  1 P 1.61
O  0.4662  0.2500  0.8129  1 C 1.31
O  0.5338  0.7500  0.1871  1 C 1.31
O  0.5761  0.7500  0.5221  1 P 1.61
O  0.7160  0.7500  0.9633  1 C 1.24
O  0.7546  0.0871  0.3371  1 P 1.53
O  0.7546  0.4129  0.3371  1 P 1.53
O  0.8814  0.2500  0.5677  1 P 1.58
O  0.9423  0.7500  0.1713  1 C 1.31

## Properties
Energy relative to the elements: -2.051 eV per atom
Total energy: -0.46182 Ry per atom
Density: 2.59 g/cm³

Below is a relaxed structure of CeBS3, with properties calculated at the GGA-PBE level.

Cell lengths 7.6659, 6.0011, 8.9907 Å; angles 90.00, 90.00, 90.00 degrees
With the nearest neighbours (Å) after each atom.
Fractional positions:
Ce  0.1164  0.0701  0.0000  9 S 2.90-3.24, 1 B 3.25
Ce  0.3836  0.5701  0.5000  9 S 2.90-3.24, 1 B 3.25
Ce  0.6164  0.4299  0.0000  9 S 2.90-3.24, 1 B 3.25
Ce  0.8836  0.9299  0.5000  9 S 2.90-3.24, 1 B 3.25
B  0.1537  0.5951  0.8289  3 S 1.81-1.83
B  0.3463  0.0951  0.3289  3 S 1.81-1.83
B  0.6537  0.9049  0.8289  3 S 1.81-1.83
B  0.8463  0.4049  0.3289  3 S 1.81-1.83
S  0.0067  0.5915  0.9860  1 B 1.81
S  0.1772  0.8352  0.7063  1 B 1.82
S  0.1959  0.8633  0.2990  1 B 1.83
S  0.3041  0.3633  0.7990  1 B 1.83
S  0.3228  0.3352  0.2063  1 B 1.82
S  0.4933  0.0915  0.4860  1 B 1.81
S  0.5067  0.9085  0.9860  1 B 1.81
S  0.6772  0.6648  0.7063  1 B 1.82
S  0.6959  0.6367  0.2990  1 B 1.83
S  0.8041  0.1367  0.7990  1 B 1.83
S  0.8228  0.1648  0.2063  1 B 1.82
S  0.9933  0.4085  0.4860  1 B 1.81

## Properties
Energy relative to the elements: -1.519 eV per atom
Total energy: -0.45729 Ry per atom
Density: 3.97 g/cm³

Below is a relaxed structure of HfMg14Nb, with properties calculated at the GGA-PBE level.

Cell lengths 10.1660, 6.4122, 6.4122 Å; angles 57.37, 90.00, 90.00 degrees
With the nearest neighbours (Å) after each atom.
Fractional positions:
Hf  0.0000  0.0000  0.0000  2 Nb 3.08, 10 Mg 3.10-3.21
Mg  0.0000  0.0017  0.4989  8 Mg 3.06-3.12, 2 Nb 3.20-3.21, 2 Hf 3.21
Mg  0.0000  0.4989  0.0017  8 Mg 3.06-3.12, 2 Nb 3.20-3.21, 2 Hf 3.21
Mg  0.2436  0.6595  0.6595  1 Nb 3.06, 11 Mg 3.08-3.27
Mg  0.2459  0.1685  0.6615  10 Mg 3.03-3.27, 1 Nb 3.08, 1 Hf 3.10
Mg  0.2459  0.6615  0.1685  10 Mg 3.03-3.27, 1 Nb 3.08, 1 Hf 3.10
Mg  0.2491  0.1621  0.1621  11 Mg 3.08-3.23, 1 Hf 3.12
Mg  0.5000  0.4987  0.4987  12 Mg 3.08-3.21
Mg  0.5000  0.4991  0.9980  12 Mg 3.07-3.21
Mg  0.5000  0.9980  0.4991  12 Mg 3.07-3.21
Mg  0.5000  0.9983  0.9983  12 Mg 3.08-3.21
Mg  0.7509  0.1621  0.1621  11 Mg 3.08-3.23, 1 Hf 3.12
Mg  0.7541  0.1685  0.6615  10 Mg 3.03-3.27, 1 Nb 3.08, 1 Hf 3.10
Mg  0.7541  0.6615  0.1685  10 Mg 3.03-3.27, 1 Nb 3.08, 1 Hf 3.10
Mg  0.7564  0.6595  0.6595  1 Nb 3.06, 11 Mg 3.08-3.27
Nb  0.0000  0.5002  0.5002  10 Mg 3.06-3.21, 2 Hf 3.08

## Properties
Energy relative to the elements: 0.092 eV per atom
Excess energy over the best structure of this formula in the dataset: 0.00 eV per formula unit
Total energy: -0.18833 Ry per atom
Density: 2.89 g/cm³

- total energy of number 5 (CeBS3)?
  -0.45729 Ry per atom

- The highest total energy belongs to which entry?
  HfMg14Nb

Repeat the fifth record exactly.
Below is a relaxed structure of CeBS3, with properties calculated at the GGA-PBE level.

Cell lengths 7.6659, 6.0011, 8.9907 Å; angles 90.00, 90.00, 90.00 degrees
With the nearest neighbours (Å) after each atom.
Fractional positions:
Ce  0.1164  0.0701  0.0000  9 S 2.90-3.24, 1 B 3.25
Ce  0.3836  0.5701  0.5000  9 S 2.90-3.24, 1 B 3.25
Ce  0.6164  0.4299  0.0000  9 S 2.90-3.24, 1 B 3.25
Ce  0.8836  0.9299  0.5000  9 S 2.90-3.24, 1 B 3.25
B  0.1537  0.5951  0.8289  3 S 1.81-1.83
B  0.3463  0.0951  0.3289  3 S 1.81-1.83
B  0.6537  0.9049  0.8289  3 S 1.81-1.83
B  0.8463  0.4049  0.3289  3 S 1.81-1.83
S  0.0067  0.5915  0.9860  1 B 1.81
S  0.1772  0.8352  0.7063  1 B 1.82
S  0.1959  0.8633  0.2990  1 B 1.83
S  0.3041  0.3633  0.7990  1 B 1.83
S  0.3228  0.3352  0.2063  1 B 1.82
S  0.4933  0.0915  0.4860  1 B 1.81
S  0.5067  0.9085  0.9860  1 B 1.81
S  0.6772  0.6648  0.7063  1 B 1.82
S  0.6959  0.6367  0.2990  1 B 1.83
S  0.8041  0.1367  0.7990  1 B 1.83
S  0.8228  0.1648  0.2063  1 B 1.82
S  0.9933  0.4085  0.4860  1 B 1.81

## Properties
Energy relative to the elements: -1.519 eV per atom
Total energy: -0.45729 Ry per atom
Density: 3.97 g/cm³